1.
The following is a DFT calculation (GGA+U) of a relaxed structure of CdWO4.

Cell lengths 5.104, 5.991, 5.199 Å; angles 90.00, 92.10, 90.00 degrees
Space group P2/c (No. 13)
Symmetry-distinct sites (fractional):
Cd  0.000  0.188  0.250 (multiplicity 2)
W  0.500  0.329  0.750 (multiplicity 2)
O  0.256  0.133  0.615 (multiplicity 4)
O  0.300  0.403  0.053 (multiplicity 4)

## Properties
Crystal system: monoclinic

2.
The following is a DFT calculation (GGA+U) of a relaxed structure of Li6V3P8O29.

Cell lengths 9.810, 9.828, 14.028 Å; angles 89.15, 89.00, 60.22 degrees
Space group P1 (No. 1)
Symmetry-distinct sites (fractional):
Li  0.000  0.000  0.000 (multiplicity 1)
Li  0.004  0.992  0.499 (multiplicity 1)
Li  0.017  0.433  0.550 (multiplicity 1)
Li  0.354  0.904  0.671 (multiplicity 1)
Li  0.361  0.760  0.178 (multiplicity 1)
Li  0.452  0.988  0.053 (multiplicity 1)
Li  0.574  0.006  0.547 (multiplicity 1)
Li  0.584  0.449  0.056 (multiplicity 1)
Li  0.677  0.672  0.604 (multiplicity 1)
Li  0.764  0.349  0.672 (multiplicity 1)
Li  0.904  0.362  0.175 (multiplicity 1)
Li  0.988  0.583  0.047 (multiplicity 1)
V  0.111  0.672  0.853 (multiplicity 1)
V  0.112  0.240  0.357 (multiplicity 1)
V  0.243  0.101  0.860 (multiplicity 1)
V  0.246  0.661  0.368 (multiplicity 1)
V  0.674  0.233  0.859 (multiplicity 1)
V  0.679  0.102  0.358 (multiplicity 1)
P  0.010  0.007  0.739 (multiplicity 1)
P  0.014  0.004  0.240 (multiplicity 1)
P  0.341  0.337  0.979 (multiplicity 1)
P  0.345  0.332  0.483 (multiplicity 1)
P  0.352  0.759  0.956 (multiplicity 1)
P  0.356  0.897  0.452 (multiplicity 1)
P  0.450  0.988  0.269 (multiplicity 1)
P  0.456  0.590  0.769 (multiplicity 1)
P  0.590  0.439  0.272 (multiplicity 1)
P  0.593  0.983  0.762 (multiplicity 1)
P  0.765  0.894  0.946 (multiplicity 1)
P  0.769  0.352  0.455 (multiplicity 1)
P  0.894  0.754  0.449 (multiplicity 1)
P  0.906  0.345  0.954 (multiplicity 1)
P  0.995  0.439  0.770 (multiplicity 1)
P  0.998  0.587  0.264 (multiplicity 1)
O  0.003  0.863  0.782 (multiplicity 1)
O  0.008  0.007  0.133 (multiplicity 1)
O  0.009  0.159  0.274 (multiplicity 1)
O  0.011  0.012  0.632 (multiplicity 1)
O  0.012  0.422  0.272 (multiplicity 1)
O  0.023  0.577  0.773 (multiplicity 1)
O  0.046  0.178  0.936 (multiplicity 1)
O  0.047  0.765  0.445 (multiplicity 1)
O  0.150  0.282  0.784 (multiplicity 1)
O  0.156  0.575  0.287 (multiplicity 1)
O  0.162  0.856  0.279 (multiplicity 1)
O  0.165  0.997  0.776 (multiplicity 1)
O  0.187  0.782  0.936 (multiplicity 1)
O  0.192  0.342  0.443 (multiplicity 1)
O  0.194  0.046  0.440 (multiplicity 1)
O  0.195  0.486  0.937 (multiplicity 1)
O  0.296  0.596  0.774 (multiplicity 1)
O  0.297  0.147  0.289 (multiplicity 1)
O  0.331  0.755  0.452 (multiplicity 1)
O  0.337  0.924  0.954 (multiplicity 1)
O  0.340  0.187  0.943 (multiplicity 1)
O  0.346  0.325  0.589 (multiplicity 1)
O  0.348  0.340  0.085 (multiplicity 1)
O  0.350  0.479  0.440 (multiplicity 1)
O  0.423  0.673  0.047 (multiplicity 1)
O  0.425  0.004  0.776 (multiplicity 1)
O  0.429  0.589  0.274 (multiplicity 1)
O  0.433  0.914  0.180 (multiplicity 1)
O  0.444  0.899  0.539 (multiplicity 1)
O  0.464  0.878  0.359 (multiplicity 1)
O  0.470  0.662  0.871 (multiplicity 1)
O  0.476  0.683  0.690 (multiplicity 1)
O  0.493  0.332  0.933 (multiplicity 1)
O  0.494  0.181  0.441 (multiplicity 1)
O  0.575  0.293  0.288 (multiplicity 1)
O  0.591  0.140  0.776 (multiplicity 1)
O  0.592  0.010  0.271 (multiplicity 1)
O  0.594  0.420  0.770 (multiplicity 1)
O  0.660  0.903  0.669 (multiplicity 1)
O  0.665  0.906  0.029 (multiplicity 1)
O  0.680  0.429  0.182 (multiplicity 1)
O  0.683  0.455  0.362 (multiplicity 1)
O  0.693  0.871  0.849 (multiplicity 1)
O  0.694  0.441  0.544 (multiplicity 1)
O  0.754  0.335  0.956 (multiplicity 1)
O  0.755  0.923  0.453 (multiplicity 1)
O  0.780  0.190  0.446 (multiplicity 1)
O  0.787  0.041  0.933 (multiplicity 1)
O  0.863  0.161  0.778 (multiplicity 1)
O  0.865  0.008  0.288 (multiplicity 1)
O  0.878  0.686  0.349 (multiplicity 1)
O  0.883  0.655  0.528 (multiplicity 1)
O  0.888  0.455  0.863 (multiplicity 1)
O  0.909  0.438  0.682 (multiplicity 1)
O  0.926  0.420  0.042 (multiplicity 1)
O  0.931  0.662  0.170 (multiplicity 1)
O  0.932  0.750  0.948 (multiplicity 1)
O  0.939  0.327  0.447 (multiplicity 1)

## Properties
Crystal system: triclinic
E above lowest polymorph, meV/atom: 3.1
Magnetic moment, μB/atom: 0.07

3.
The following is a DFT calculation (GGA+U) of a relaxed structure of BaMgVF7.

Cell lengths 5.661, 10.030, 9.728 Å; angles 90.00, 92.97, 90.00 degrees
Space group P2_1/c (No. 14)
Symmetry-distinct sites (fractional):
Ba  0.236  0.179  0.001 (multiplicity 4)
Mg  0.194  0.604  0.811 (multiplicity 4)
V  0.307  0.612  0.188 (multiplicity 4)
F  0.025  0.713  0.249 (multiplicity 4)
F  0.114  0.542  0.627 (multiplicity 4)
F  0.128  0.052  0.630 (multiplicity 4)
F  0.242  0.689  0.001 (multiplicity 4)
F  0.385  0.052  0.375 (multiplicity 4)
F  0.388  0.542  0.368 (multiplicity 4)
F  0.473  0.718  0.750 (multiplicity 4)

## Properties
Crystal system: monoclinic
Magnetic moment, μB/atom: 0.20

4.
The following is a DFT calculation (GGA+U) of a relaxed structure of V3O2F5.

Cell lengths 5.113, 16.815, 4.922 Å; angles 90.00, 90.00, 90.00 degrees
Space group Pnma (No. 62)
Symmetry-distinct sites (fractional):
V  0.059  0.250  0.051 (multiplicity 4)
V  0.123  0.098  0.451 (multiplicity 8)
O  0.160  0.673  0.714 (multiplicity 8)
F  0.050  0.614  0.183 (multiplicity 8)
F  0.171  0.526  0.675 (multiplicity 8)
F  0.223  0.250  0.680 (multiplicity 4)

## Properties
Crystal system: orthorhombic
E above lowest polymorph, meV/atom: 5.4
Magnetic moment, μB/atom: 0.60

Per-record total energy, eV/atom: -6.41, -7.02, -5.81, -6.70